Computed, not measured: an optimized crystal structure of LiFeP2O7 at the PBE+U level of DFT.

Cell lengths 7.1205, 10.1692, 8.0847 Å; angles 90.00, 111.12, 90.00 degrees
Space group P2_1/c (No. 14)
Asymmetric unit:
Li (0.1034, 0.1566, 0.0524) [4 per cell]
Fe (0.2356, 0.6061, 0.2553) [4 per cell]
P (0.1390, 0.5903, 0.8133) [4 per cell]
P (0.4695, 0.6466, 0.7040) [4 per cell]
O (0.0257, 0.0307, 0.2097) [4 per cell]
O (0.0616, 0.7165, 0.7035) [4 per cell]
O (0.1317, 0.6012, 0.9970) [4 per cell]
O (0.3242, 0.6238, 0.5143) [4 per cell]
O (0.3270, 0.0807, 0.7569) [4 per cell]
O (0.3703, 0.5710, 0.8312) [4 per cell]
O (0.4906, 0.7084, 0.2619) [4 per cell]

Output
Energy relative to the lowest polymorph listed for this composition: 54 meV/atom
Energy of formation: -2.472 eV per atom